The following is a PBE with a Hubbard U calculation of an optimized crystal structure of Li5V4P6O24, from Materials Project.

abc: 8.6919 8.7220 14.9110
angles: 90.00 125.22 90.00
With the nearest neighbours (Å) after each atom.
Space group Pc (No. 7)
Symmetry-distinct sites (fractional):
Li 0.0000 0.0273 0.0000  4 O 1.94-2.05
Li 0.0564 0.4721 0.6422  4 O 1.95-2.01
Li 0.4013 0.1762 0.1220  4 O 1.98-2.16
Li 0.6380 0.3391 0.5173  3 O 1.95-2.07
Li 0.7063 0.0519 0.0825  4 O 2.02-2.16
V 0.1634 0.2115 0.2110  6 O 1.95-2.12
V 0.3872 0.2216 0.9318  6 O 1.94-2.15
V 0.6569 0.2871 0.7118  6 O 1.87-2.08
V 0.8933 0.2887 0.4346  6 O 1.94-2.06
P 0.0661 0.3547 0.9671  4 O 1.53-1.58
P 0.2841 0.1349 0.4729  4 O 1.54-1.56
P 0.4871 0.4990 0.3172  4 O 1.53-1.56
P 0.5717 0.0007 0.8290  4 O 1.54-1.55
P 0.7763 0.3669 0.1757  4 O 1.52-1.57
P 0.9817 0.1480 0.6737  4 O 1.51-1.56
O 0.0351 0.4902 0.5029  1 P 1.53
O 0.1121 0.2308 0.0563  1 P 1.58
O 0.1278 0.1570 0.4913  1 P 1.55
O 0.1627 0.1973 0.7789  1 P 1.51
O 0.2108 0.1678 0.3532  1 P 1.54
O 0.2373 0.3573 0.9621  1 P 1.53
O 0.2915 0.4220 0.2492  1 P 1.54
O 0.3470 0.0363 0.0026  1 P 1.56
O 0.4114 0.1130 0.2528  1 P 1.55
O 0.4560 0.2424 0.5487  1 P 1.56
O 0.4965 0.3852 0.8970  1 P 1.53
O 0.5167 0.4261 0.7334  1 P 1.56
O 0.5515 0.0698 0.9172  1 P 1.55
O 0.5653 0.1196 0.7498  1 P 1.55
O 0.6121 0.2516 0.1027  1 P 1.56
O 0.6414 0.3795 0.3875  1 P 1.54
O 0.7132 0.4617 0.6463  1 P 1.57
O 0.7668 0.0767 0.3910  1 P 1.54
O 0.8064 0.1415 0.6780  1 P 1.56
O 0.8505 0.3346 0.2946  1 P 1.52
O 0.8842 0.3020 0.8574  1 P 1.55
O 0.9293 0.3450 0.1542  1 P 1.55
O 0.9317 0.2686 0.5832  1 P 1.56
O 0.9929 0.0152 0.1349  1 P 1.56

Output
Calculated formation energy (eV per atom): -2.71
Uncorrected energy (eV per atom): -7.17
Energy above the lowest structure with this stoichiometry (meV/atom): 0
Calculated density (g/cm³): 2.9